1.
A plane-wave DFT calculation with PBE with a Hubbard U was carried out for LiAlVO4 after structural relaxation.

Geometry as POSCAR:
```
LiAlVO4
1.0
-2.370 -3.727 -2.832
3.459 -3.909 2.500
-10.950 0.235 9.475
Li Al V O
6 6 6 24
Cartesian
-3.205 -5.596 5.798
-11.596 -5.389 7.873
0.523 -3.783 3.193
-7.873 -3.573 5.266
-3.811 -1.899 2.616
-8.742 -5.597 7.186
-1.366 -4.694 1.248
-7.388 -0.758 6.151
-2.436 -6.602 3.106
-8.454 -2.662 8.012
-6.983 -4.549 2.515
-9.544 -4.520 9.917
-5.227 -6.486 3.842
-3.144 -2.888 -0.242
-5.705 -2.862 7.161
-0.296 -2.785 -0.733
-4.167 -4.701 1.837
-6.730 -4.675 9.243
-1.631 -1.532 -0.318
-6.563 -5.233 4.256
0.131 -3.482 1.091
-8.258 -3.274 3.164
-2.748 -3.432 1.702
-5.313 -3.405 9.104
-0.856 -5.397 2.979
-6.877 -1.459 7.883
-3.708 -5.313 3.690
-9.730 -1.375 8.595
-5.524 -3.260 2.351
-8.088 -3.229 9.759
-0.120 -6.000 0.546
-6.141 -2.065 5.451
-1.796 -4.138 -0.579
-4.359 -4.111 6.825
-2.769 -5.981 1.372
-8.789 -2.045 6.276
-4.715 -4.061 -0.044
-7.279 -4.031 7.363
-1.629 -4.149 6.088
-10.018 -3.938 8.158
-3.302 -2.092 4.757
-8.236 -5.790 9.324
```

Computed properties:
space-group type	P1
total moment	2.006	μB per cell
excess energy over the best structure of this formula in the dataset	0.056	eV per atom
energy relative to the elements	-2.753	eV/atom
electronic total energy	-7.0501	eV/atom

=====

2.
A plane-wave DFT calculation with PBE with a Hubbard U was carried out for Li7Co5O12 after structural relaxation.

Geometry as POSCAR:
```
Li7Co5O12
1.0
-2.206 -2.083 -4.065
3.434 -4.019 2.331
-6.101 -0.585 4.572
Li Co O
7 5 12
Cartesian
-5.943 -1.907 1.980
-4.209 -3.866 3.169
-3.296 -2.332 0.852
-1.577 -4.356 1.987
-0.664 -2.822 -0.330
1.070 -4.781 0.859
1.717 -2.010 1.166
0.000 0.000 0.000
-3.536 -1.086 3.476
-1.821 -3.065 4.622
-3.052 -3.623 -1.784
-1.337 -5.601 -0.638
-3.304 -4.224 5.167
-5.136 -2.070 3.868
-0.708 -4.598 3.977
-2.575 -2.609 2.785
-1.579 -1.032 0.421
0.047 -3.166 1.723
-4.920 -3.521 1.116
-3.294 -5.656 2.417
-2.298 -4.078 0.053
-4.165 -2.090 -1.139
0.263 -4.617 -1.030
-1.569 -2.464 -2.328
```

Computed properties:
space-group type	P-1
total moment	0.031	μB per cell
excess energy over the best structure of this formula in the dataset	0.060	eV per atom
energy relative to the elements	-1.702	eV/atom
electronic total energy	-5.5292	eV/atom

=====

3.
A plane-wave DFT calculation with PBE with a Hubbard U was carried out for Li8Co3NiO8 after structural relaxation.

Geometry as POSCAR:
```
Li8Co3NiO8
1.0
-5.330 0.000 0.000
0.000 -5.379 0.000
-0.021 -0.018 7.020
Li Co Ni O
8 3 1 8
Cartesian
-4.331 -0.186 4.169
-3.483 -1.529 1.808
-0.814 -1.177 5.277
-1.675 -2.512 0.644
-4.366 -2.980 6.356
-3.512 -4.205 1.694
-0.846 -3.899 5.208
-1.704 -5.109 2.848
-0.285 -0.278 0.790
-2.945 -2.430 4.298
-0.280 -2.947 2.727
-2.943 -5.173 6.254
-2.312 -0.309 1.010
-2.414 -0.489 4.451
-5.068 -2.211 0.958
-4.976 -2.393 4.489
-2.308 -3.019 2.530
-2.429 -3.221 6.039
-5.084 -4.886 2.550
-4.968 -5.069 6.061
```

Computed properties:
space-group type	P1
total moment	11.000	μB per cell
energy relative to the elements	-1.681	eV/atom
electronic total energy	-5.1312	eV/atom

=====

4.
A plane-wave DFT calculation with PBE with a Hubbard U was carried out for Na2MgMnP2O7F3 after structural relaxation.

Geometry as POSCAR:
```
Na2MgMnP2O7F3
1.0
4.796 0.256 -0.535
-1.896 5.087 -1.428
0.549 0.165 8.439
Na Mg Mn P O F
2 1 1 2 7 3
Cartesian
4.119 0.840 2.060
0.153 4.584 7.066
1.377 1.990 4.885
1.927 2.750 0.482
4.425 1.410 6.611
-0.201 3.846 2.608
0.591 2.292 6.753
2.982 1.484 -0.612
0.685 3.963 1.282
0.663 3.395 3.790
3.480 3.057 1.835
3.089 5.129 5.086
1.103 0.182 4.185
1.218 1.227 1.325
2.315 4.133 -0.724
3.310 1.590 5.340
```

Computed properties:
space-group type	P1
total moment	4.000	μB per cell
energy relative to the elements	-2.732	eV/atom
electronic total energy	-6.2789	eV/atom

=====

5.
A plane-wave DFT calculation with PBE with a Hubbard U was carried out for Li11Ni2O8 after structural relaxation.

Geometry as POSCAR:
```
Li11Ni2O8
1.0
-5.398 -0.176 3.720
-1.495 -5.768 -2.740
4.777 -4.440 6.729
Li Ni O
22 4 16
Cartesian
1.767 -4.818 8.603
-0.568 -2.528 5.312
-5.294 -0.325 3.548
2.765 -5.949 6.768
1.710 -4.682 5.126
0.688 -3.453 3.432
-0.673 -2.459 1.714
-1.137 -5.078 3.986
-5.806 -2.810 2.289
-3.530 -5.016 5.677
2.600 -6.392 3.719
0.322 -6.497 5.475
0.241 -4.179 0.347
-2.242 -4.167 1.910
-1.439 -7.931 5.988
-4.851 -4.477 0.893
-3.849 -5.669 2.621
-2.820 -6.908 4.303
1.884 -8.875 2.350
-0.302 -6.807 -0.761
-0.405 -9.001 4.131
-2.782 -6.763 0.789
-0.854 -4.894 7.146
-3.220 -2.684 3.804
-2.484 -4.352 -1.104
-0.064 -6.616 2.209
-0.856 -0.510 1.634
1.438 -2.788 5.071
-1.300 -3.070 3.486
3.625 -5.239 5.124
1.171 -2.996 1.656
1.029 -5.249 6.838
0.825 -5.524 3.653
-1.518 -3.415 0.203
-1.739 -5.992 5.750
-4.100 -3.765 2.454
-4.576 -6.131 4.331
-2.237 -8.473 7.693
0.451 -8.472 5.770
-2.012 -6.192 2.518
-2.347 -8.734 4.498
-4.826 -6.456 1.071
```

Computed properties:
space-group type	C2
total moment	10.000	μB per cell
energy relative to the elements	-1.828	eV/atom
electronic total energy	-4.7596	eV/atom

=====

6.
A plane-wave DFT calculation with PBE with a Hubbard U was carried out for Li2Mn3F8 after structural relaxation.

Geometry as POSCAR:
```
Li2Mn3F8
1.0
-3.159 3.052 -4.712
-2.184 -5.641 2.214
-5.151 4.492 6.364
Li Mn F
4 6 16
Cartesian
-5.310 -0.301 3.365
-7.225 1.369 5.731
-3.059 0.350 -2.126
-4.974 2.020 0.240
-3.617 -3.098 2.643
-2.514 -0.248 1.525
-5.250 3.432 3.564
-5.213 -1.556 0.263
-7.949 2.124 2.303
-6.846 4.973 1.184
-5.652 -1.274 5.105
-3.133 -1.130 3.402
-3.150 -2.184 0.697
-1.866 1.627 2.305
-4.441 3.873 5.487
-4.590 1.468 4.029
-5.600 -2.325 2.249
-4.592 0.280 1.227
-7.187 0.210 2.815
-2.182 0.712 -0.339
-7.192 2.747 4.232
-6.183 5.352 3.210
-4.779 -0.547 -1.553
-6.051 2.959 1.571
-8.651 4.157 2.057
-3.717 2.195 -2.629
```

Computed properties:
space-group type	P6_3mc
total moment	30.000	μB per cell
excess energy over the best structure of this formula in the dataset	0.033	eV per atom
energy relative to the elements	-2.970	eV/atom
electronic total energy	-5.8865	eV/atom

=====

7.
A plane-wave DFT calculation with PBE with a Hubbard U was carried out for K3NaFe2O8 after structural relaxation.

Geometry as POSCAR:
```
K3NaFe2O8
1.0
-1.793 5.586 0.678
6.913 4.757 4.809
7.585 0.041 -6.000
K Na Fe O
6 2 4 16
Cartesian
1.831 6.786 0.380
10.873 3.598 -0.894
4.631 7.299 3.558
4.967 4.941 -1.847
8.073 3.085 -4.071
7.737 5.444 1.333
6.912 4.757 4.809
5.455 7.985 0.082
4.887 2.031 -3.809
8.153 5.995 -2.109
4.551 4.389 1.595
7.817 8.353 3.296
9.701 6.507 -2.236
2.452 4.108 -1.640
3.003 3.877 1.722
10.252 6.276 1.126
7.413 5.939 -3.604
7.077 8.297 1.800
7.259 7.016 -1.136
0.011 4.617 -0.540
8.078 4.465 -1.446
0.830 2.066 -0.850
5.291 4.445 3.090
5.627 2.087 -2.314
4.626 5.920 0.932
11.874 8.318 0.336
5.445 3.369 0.622
12.693 5.767 0.027
```

Computed properties:
total moment	0.000	μB per cell
energy relative to the elements	-1.417	eV/atom
electronic total energy	-5.0721	eV/atom

=====

8.
A plane-wave DFT calculation with PBE with a Hubbard U was carried out for Mn5FeO12 after structural relaxation.

Geometry as POSCAR:
```
Mn5FeO12
1.0
4.414 2.544 0.000
-4.414 2.544 0.000
0.000 0.016 9.825
Mn Fe O
5 1 12
Cartesian
2.943 2.553 4.912
-1.472 2.544 0.000
1.472 2.544 0.000
-2.943 2.553 4.912
0.000 2.553 4.912
0.000 0.000 0.000
-1.500 0.880 8.858
-1.500 4.225 0.966
1.471 3.400 5.864
-1.471 3.400 5.864
1.471 1.705 3.961
0.000 4.250 3.961
-1.471 1.705 3.961
1.500 0.880 8.858
0.000 3.380 8.861
1.500 4.225 0.966
0.000 1.725 0.963
0.000 0.856 5.864
```

Computed properties:
space-group type	C2/m
total moment	19.014	μB per cell
excess energy over the best structure of this formula in the dataset	0.000	eV per atom
energy relative to the elements	-1.678	eV/atom
electronic total energy	-6.9454	eV/atom

=====

no.,V (A^3/atom)
1,10.3
2,8.7
3,10.1
4,13.3
5,9.6
6,12.9
7,16.5
8,12.3